(1)
Computed, not measured: an optimized crystal structure of Mg14NbBiO16 at the PBE-GGA level of DFT.

a = 8.747 Å, b = 8.747 Å, c = 4.491 Å
α = 90.00°, β = 90.00°, γ = 90.00°
Atoms (fractional coordinates):
Mg  0.000  0.252  0.000
Mg  0.000  0.500  0.500
Mg  0.000  0.748  0.000
Mg  0.237  0.500  0.000
Mg  0.244  0.244  0.500
Mg  0.244  0.756  0.500
Mg  0.252  0.000  0.000
Mg  0.500  0.000  0.500
Mg  0.500  0.237  0.000
Mg  0.500  0.763  0.000
Mg  0.748  0.000  0.000
Mg  0.756  0.244  0.500
Mg  0.756  0.756  0.500
Mg  0.763  0.500  0.000
Nb  0.000  0.000  0.500
Bi  0.500  0.500  0.500
O  0.000  0.000  0.000
O  0.000  0.261  0.500
O  0.000  0.500  0.000
O  0.000  0.739  0.500
O  0.231  0.500  0.500
O  0.251  0.251  0.000
O  0.251  0.749  0.000
O  0.261  0.000  0.500
O  0.500  0.000  0.000
O  0.500  0.231  0.500
O  0.500  0.500  0.000
O  0.500  0.769  0.500
O  0.739  0.000  0.500
O  0.749  0.251  0.000
O  0.749  0.749  0.000
O  0.769  0.500  0.500

Values from the calculation:
Size of the total moment ... 2.7 μB per formula unit
ΔE to the lowest computed polymorph ... 0.0 meV per atom
Crystal system ... tetragonal
Symmetry ... No. 123



(2)
Computed, not measured: an optimized crystal structure of NaSb3O8 at the PBE-GGA level of DFT.

a = 7.575 Å, b = 5.263 Å, c = 15.457 Å
α = 90.00°, β = 107.17°, γ = 90.00°
Atoms (fractional coordinates):
Na  0.232  0.240  0.078
Na  0.232  0.260  0.578
Na  0.768  0.740  0.422
Na  0.768  0.760  0.922
Sb  0.013  0.239  0.338
Sb  0.013  0.261  0.838
Sb  0.260  0.740  0.416
Sb  0.260  0.760  0.916
Sb  0.478  0.735  0.165
Sb  0.478  0.765  0.665
Sb  0.522  0.235  0.335
Sb  0.522  0.265  0.835
Sb  0.740  0.240  0.084
Sb  0.740  0.260  0.584
Sb  0.987  0.739  0.162
Sb  0.987  0.761  0.662
O  0.025  0.554  0.407
O  0.025  0.946  0.907
O  0.090  0.590  0.784
O  0.090  0.910  0.284
O  0.145  0.047  0.448
O  0.145  0.453  0.948
O  0.225  0.605  0.157
O  0.225  0.895  0.657
O  0.278  0.092  0.842
O  0.278  0.408  0.342
O  0.370  0.613  0.540
O  0.370  0.887  0.040
O  0.414  0.061  0.217
O  0.414  0.439  0.717
O  0.474  0.581  0.899
O  0.474  0.919  0.399
O  0.526  0.081  0.601
O  0.526  0.419  0.101
O  0.586  0.561  0.283
O  0.586  0.939  0.783
O  0.630  0.113  0.960
O  0.630  0.387  0.460
O  0.722  0.592  0.658
O  0.722  0.908  0.158
O  0.775  0.105  0.343
O  0.775  0.395  0.843
O  0.855  0.547  0.052
O  0.855  0.953  0.552
O  0.910  0.090  0.716
O  0.910  0.410  0.216
O  0.975  0.054  0.093
O  0.975  0.446  0.593

Values from the calculation:
Size of the total moment ... 0.0 μB per formula unit
ΔE to the lowest computed polymorph ... 8.6 meV per atom
Crystal system ... monoclinic
Symmetry ... No. 14



(3)
Computed, not measured: an optimized crystal structure of SiO2 at the PBE-GGA level of DFT.

a = 9.901 Å, b = 9.901 Å, c = 7.536 Å
α = 98.71°, β = 98.71°, γ = 88.24°
Atoms (fractional coordinates):
Si  0.012  0.785  0.547
Si  0.110  0.666  0.914
Si  0.119  0.345  0.844
Si  0.215  0.988  0.453
Si  0.334  0.890  0.086
Si  0.345  0.119  0.844
Si  0.655  0.881  0.156
Si  0.666  0.110  0.914
Si  0.785  0.012  0.547
Si  0.881  0.655  0.156
Si  0.890  0.334  0.086
Si  0.988  0.215  0.453
O  0.008  0.294  0.959
O  0.055  0.696  0.710
O  0.059  0.318  0.629
O  0.095  0.095  0.392
O  0.148  0.852  0.500
O  0.151  0.506  0.907
O  0.246  0.754  0.000
O  0.261  0.261  0.884
O  0.294  0.008  0.959
O  0.304  0.945  0.290
O  0.318  0.059  0.629
O  0.494  0.849  0.093
O  0.506  0.151  0.907
O  0.682  0.941  0.371
O  0.696  0.055  0.710
O  0.706  0.992  0.041
O  0.739  0.739  0.116
O  0.754  0.246  0.000
O  0.849  0.494  0.093
O  0.852  0.148  0.500
O  0.905  0.905  0.608
O  0.941  0.682  0.371
O  0.945  0.304  0.290
O  0.992  0.706  0.041

Values from the calculation:
Crystal system ... monoclinic
Symmetry ... No. 12



Number 1: energy of formation from the pure elements -2639.1 meV/atom. Number 2: energy of formation from the pure elements -1887.0 meV/atom. Number 3: energy of formation from the pure elements -3258.7 meV/atom.